w:
SrMg14CrO16 | Materials Project | PBE+U | relaxed; space group = No. 47; crystal system = orthorhombic
1.0
-0.096 7.859 3.842
-2.311 -3.681 7.472
4.241 -0.475 1.078
Sr Mg Cr O
1 14 1 16
direct
0.000 0.000 0.000
0.500 0.000 0.000
0.500 0.500 0.000
0.000 0.258 0.500
0.000 0.742 0.500
0.500 0.251 0.500
0.500 0.749 0.500
0.260 0.000 0.500
0.254 0.500 0.500
0.740 0.000 0.500
0.746 0.500 0.500
0.258 0.256 0.000
0.258 0.744 0.000
0.742 0.256 0.000
0.742 0.744 0.000
0.000 0.500 0.000
0.271 0.000 0.000
0.266 0.500 0.000
0.729 0.000 0.000
0.734 0.500 0.000
0.250 0.250 0.500
0.250 0.750 0.500
0.750 0.250 0.500
0.750 0.750 0.500
0.000 0.000 0.500
0.000 0.500 0.500
0.500 0.000 0.500
0.500 0.500 0.500
0.000 0.269 0.000
0.000 0.731 0.000
0.500 0.252 0.000
0.500 0.748 0.000

=====

x:
SrMg14CrO16 | Materials Project | PBE+U | relaxed; space group = No. 123; crystal system = tetragonal
1.0
-0.955 -6.073 -6.058
-0.239 -6.075 6.127
-4.432 0.437 0.260
Sr Mg Cr O
1 14 1 16
direct
0.000 0.000 0.000
0.000 0.500 0.000
0.500 0.000 0.000
0.000 0.259 0.500
0.000 0.741 0.500
0.500 0.252 0.500
0.500 0.748 0.500
0.259 0.000 0.500
0.252 0.500 0.500
0.741 0.000 0.500
0.748 0.500 0.500
0.255 0.255 0.000
0.255 0.745 0.000
0.745 0.255 0.000
0.745 0.745 0.000
0.500 0.500 0.000
0.271 0.000 0.000
0.251 0.500 0.000
0.729 0.000 0.000
0.749 0.500 0.000
0.250 0.250 0.500
0.250 0.750 0.500
0.750 0.250 0.500
0.750 0.750 0.500
0.000 0.000 0.500
0.000 0.500 0.500
0.500 0.000 0.500
0.500 0.500 0.500
0.000 0.271 0.000
0.000 0.729 0.000
0.500 0.251 0.000
0.500 0.749 0.000

=====

Most stable of them? w.

=====

w:
SrMgCrO3 | Materials Project | PBE+U | relaxed; space group = No. 8; crystal system = monoclinic
1.0
-3.808 0.040 -3.274
2.191 -0.520 -3.219
-1.162 -4.838 -0.684
Sr Mg Cr O
1 1 1 3
direct
0.642 0.561 0.642
0.220 0.271 0.220
0.941 0.963 0.941
0.502 0.999 0.983
0.979 0.458 0.979
0.983 0.999 0.502

=====

x:
SrMgCrO3 | Materials Project | PBE+U | relaxed; space group = No. 123; crystal system = tetragonal
1.0
3.928 0.000 0.000
0.000 3.928 0.000
0.000 0.000 6.518
Sr Mg Cr O
1 1 1 3
direct
0.500 0.500 0.500
0.500 0.500 0.000
0.000 0.000 0.000
0.500 0.000 0.000
0.000 0.500 0.000
0.000 0.000 0.500

=====

Most stable of them? w.

=====

w:
MgTiCrO4 | Materials Project | PBE+U | relaxed; space group = No. 44; crystal system = orthorhombic
1.0
5.205 -0.226 0.016
2.075 4.779 -0.016
-3.631 -2.290 2.951
Mg Ti Cr O
1 1 1 4
direct
0.485 0.485 0.000
0.738 0.238 0.500
0.990 0.990 0.000
0.511 0.011 0.500
0.235 0.235 0.000
0.966 0.466 0.500
0.743 0.743 0.000

=====

x:
MgTiCrO4 | Materials Project | PBE+U | relaxed; space group = No. 44; crystal system = orthorhombic
1.0
5.111 -0.320 0.013
1.950 4.736 -0.013
-3.523 -2.219 2.981
Mg Ti Cr O
1 1 1 4
direct
0.263 0.763 0.500
0.759 0.259 0.500
0.010 0.010 0.000
0.526 0.026 0.500
0.249 0.249 0.000
0.993 0.493 0.500
0.771 0.771 0.000

=====

Most stable of them? w.

=====

w:
Mg6TiCrO8 | Materials Project | PBE+U | relaxed; space group = No. 123; crystal system = tetragonal
1.0
8.835 0.000 0.000
0.000 4.252 0.000
0.000 0.000 4.252
Mg Ti Cr O
6 1 1 8
direct
0.500 0.000 0.000
0.500 0.500 0.500
0.256 0.000 0.500
0.744 0.000 0.500
0.256 0.500 0.000
0.744 0.500 0.000
0.000 0.000 0.000
0.000 0.500 0.500
0.254 0.000 0.000
0.746 0.000 0.000
0.265 0.500 0.500
0.735 0.500 0.500
0.000 0.000 0.500
0.500 0.000 0.500
0.000 0.500 0.000
0.500 0.500 0.000

=====

x:
Mg6TiCrO8 | Materials Project | PBE+U | relaxed; space group = No. 123; crystal system = tetragonal
1.0
-1.285 6.357 6.094
-4.184 -0.118 -0.760
-0.462 -2.975 3.006
Mg Ti Cr O
6 1 1 8
direct
0.000 0.500 0.500
0.500 0.500 0.500
0.252 0.000 0.500
0.748 0.000 0.500
0.252 0.500 0.000
0.748 0.500 0.000
0.000 0.000 0.000
0.500 0.000 0.000
0.236 0.000 0.000
0.764 0.000 0.000
0.249 0.500 0.500
0.751 0.500 0.500
0.000 0.000 0.500
0.500 0.000 0.500
0.000 0.500 0.000
0.500 0.500 0.000

=====

Most stable of them? w.

=====

w:
Tm2MgCr2O8 | Materials Project | PBE+U | relaxed; space group = No. 5; crystal system = monoclinic
1.0
5.670 -0.046 -1.572
-3.346 4.851 -1.974
0.166 -0.189 6.210
Tm Mg Cr O
2 1 2 8
direct
0.136 0.836 0.267
0.864 0.131 0.699
0.000 0.258 0.258
0.410 0.655 0.789
0.590 0.379 0.245
0.839 0.750 0.452
0.373 0.754 0.542
0.772 0.831 0.009
0.790 0.350 0.054
0.627 0.170 0.381
0.210 0.265 0.561
0.161 0.614 0.912
0.228 0.237 0.059

=====

x:
Tm2MgCr2O8 | Materials Project | PBE+U | relaxed; space group = No. 5; crystal system = monoclinic
1.0
-0.212 4.667 -3.998
3.918 -4.585 -1.141
-5.472 -2.475 -0.079
Tm Mg Cr O
2 1 2 8
direct
0.155 0.905 0.309
0.874 0.124 0.748
0.866 0.616 0.733
0.377 0.627 0.754
0.599 0.349 0.198
0.815 0.724 0.448
0.391 0.817 0.574
0.748 0.802 0.938
0.802 0.384 0.033
0.634 0.225 0.448
0.183 0.256 0.574
0.190 0.636 0.938
0.231 0.149 0.033

=====

Most stable of them? w.

=====

w:
MgV4Cr2O12 | Materials Project | PBE+U | relaxed; space group = No. 1; crystal system = triclinic
1.0
-5.839 3.526 0.114
-0.043 -2.187 -6.752
-1.176 -5.514 0.178
Mg V Cr O
1 4 2 12
direct
0.745 0.710 0.796
0.192 0.597 0.751
0.389 0.806 0.269
0.616 0.206 0.740
0.840 0.384 0.304
0.081 0.079 0.744
0.921 0.915 0.254
0.003 0.801 0.647
0.043 0.364 0.693
0.191 0.971 0.147
0.426 0.696 0.605
0.375 0.098 0.753
0.326 0.625 0.100
0.697 0.392 0.910
0.634 0.912 0.275
0.594 0.313 0.421
0.800 0.014 0.847
0.884 0.658 0.175
0.982 0.162 0.367

=====

x:
MgV4Cr2O12 | Materials Project | PBE+U | relaxed; space group = No. 2; crystal system = triclinic
1.0
6.659 -0.114 -0.153
-0.803 7.116 0.037
-1.503 1.346 5.317
Mg V Cr O
1 4 2 12
direct
0.500 0.000 0.500
0.156 0.608 0.674
0.375 0.766 0.195
0.625 0.234 0.805
0.844 0.392 0.326
0.079 0.077 0.751
0.921 0.923 0.249
0.026 0.829 0.633
0.036 0.363 0.709
0.194 0.967 0.136
0.385 0.699 0.546
0.378 0.093 0.737
0.308 0.591 0.018
0.692 0.409 0.982
0.622 0.907 0.263
0.615 0.301 0.454
0.806 0.033 0.864
0.964 0.637 0.291
0.974 0.171 0.367

=====

Most stable of them? w.

=====

w:
MgCrW2O8 | Materials Project | PBE+U | relaxed; space group = No. 1; crystal system = triclinic
1.0
1.366 3.308 -3.455
4.205 -4.705 -2.494
-5.691 -2.735 0.233
Mg Cr W O
1 1 2 8
direct
0.592 0.868 0.089
0.123 0.223 0.096
0.893 0.390 0.607
0.354 0.066 0.586
0.198 0.635 0.831
0.535 0.467 0.355
0.185 0.186 0.805
0.490 0.078 0.327
0.713 0.986 0.884
0.038 0.824 0.344
0.067 0.267 0.401
0.761 0.354 0.834

=====

x:
MgCrW2O8 | Materials Project | PBE+U | relaxed; space group = No. 1; crystal system = triclinic
1.0
-2.338 -4.287 1.082
4.599 -4.216 -4.488
3.610 3.240 3.999
Mg Cr W O
1 1 2 8
direct
0.240 0.631 0.505
0.114 0.214 0.094
0.863 0.356 0.599
0.379 0.077 0.593
0.103 0.577 0.713
0.433 0.445 0.366
0.213 0.195 0.815
0.492 0.098 0.353
0.754 0.996 0.835
0.128 0.851 0.404
0.021 0.226 0.367
0.744 0.337 0.847

=====

Most stable of them? w.

=====

w:
Y2MgCr2O8 | Materials Project | PBE+U | relaxed; space group = No. 5; crystal system = monoclinic
1.0
-3.237 -5.143 0.235
4.852 0.327 3.652
-3.841 4.487 1.909
Y Mg Cr O
2 1 2 8
direct
0.125 0.875 0.250
0.904 0.096 0.750
0.615 0.385 0.750
0.351 0.649 0.750
0.627 0.373 0.250
0.815 0.739 0.425
0.384 0.847 0.584
0.720 0.772 0.907
0.795 0.363 0.051
0.637 0.205 0.449
0.228 0.280 0.593
0.153 0.616 0.916
0.261 0.185 0.075

=====

x:
Y2MgCr2O8 | Materials Project | PBE+U | relaxed; space group = No. 5; crystal system = monoclinic
1.0
5.774 -0.069 -1.658
-3.303 5.001 -1.631
0.017 0.069 6.007
Y Mg Cr O
2 1 2 8
direct
0.155 0.911 0.292
0.881 0.089 0.744
0.735 0.500 0.735
0.353 0.637 0.755
0.619 0.363 0.216
0.821 0.709 0.465
0.390 0.808 0.561
0.734 0.802 0.946
0.776 0.355 0.009
0.644 0.198 0.433
0.256 0.291 0.612
0.154 0.645 0.922
0.253 0.192 0.081

=====

Most stable of them? x.